Entry 1:
VASP calculation (PBE+U) on MnCrH18N6F6 after structural relaxation.

Geometry as POSCAR:
```
MnCrH18N6F6
1.0
-5.615 -8.335 -1.502
0.845 -2.345 9.851
-8.427 5.319 1.989
Mn Cr H N F
4 4 72 24 24
Direct
0.000 0.000 0.000
0.500 0.000 0.500
0.500 0.500 0.000
0.000 0.500 0.500
0.500 0.500 0.500
0.000 0.500 0.000
0.000 0.000 0.500
0.500 0.000 0.000
0.737 0.046 0.101
0.237 0.454 0.899
0.263 0.546 0.399
0.454 0.899 0.237
0.399 0.263 0.546
0.899 0.237 0.454
0.046 0.101 0.737
0.101 0.737 0.046
0.546 0.399 0.263
0.954 0.601 0.763
0.601 0.763 0.954
0.763 0.954 0.601
0.263 0.954 0.899
0.763 0.546 0.101
0.737 0.454 0.601
0.546 0.101 0.763
0.601 0.737 0.454
0.101 0.763 0.546
0.954 0.899 0.263
0.899 0.263 0.954
0.454 0.601 0.737
0.046 0.399 0.237
0.399 0.237 0.046
0.237 0.046 0.399
0.633 0.038 0.225
0.133 0.462 0.775
0.367 0.538 0.275
0.462 0.775 0.133
0.275 0.367 0.538
0.775 0.133 0.462
0.038 0.225 0.633
0.673 0.369 0.359
0.225 0.633 0.038
0.962 0.725 0.867
0.725 0.867 0.962
0.867 0.962 0.725
0.367 0.962 0.775
0.867 0.538 0.225
0.633 0.462 0.725
0.538 0.225 0.867
0.725 0.633 0.462
0.225 0.867 0.538
0.962 0.775 0.367
0.775 0.367 0.962
0.462 0.725 0.633
0.038 0.275 0.133
0.275 0.133 0.038
0.133 0.038 0.275
0.641 0.173 0.131
0.141 0.327 0.869
0.359 0.673 0.369
0.327 0.869 0.141
0.369 0.359 0.673
0.869 0.141 0.327
0.173 0.131 0.641
0.131 0.641 0.173
0.141 0.173 0.369
0.369 0.141 0.173
0.173 0.369 0.141
0.327 0.631 0.641
0.869 0.359 0.827
0.827 0.869 0.359
0.131 0.859 0.673
0.631 0.641 0.327
0.673 0.131 0.859
0.641 0.327 0.631
0.859 0.673 0.131
0.359 0.827 0.869
0.859 0.827 0.631
0.631 0.859 0.827
0.827 0.631 0.859
0.538 0.275 0.367
0.870 0.144 0.428
0.370 0.356 0.572
0.130 0.644 0.072
0.356 0.572 0.370
0.072 0.130 0.644
0.572 0.370 0.356
0.144 0.428 0.870
0.428 0.870 0.144
0.644 0.072 0.130
0.856 0.928 0.630
0.928 0.630 0.856
0.630 0.856 0.928
0.130 0.856 0.572
0.630 0.644 0.428
0.870 0.356 0.928
0.644 0.428 0.630
0.928 0.870 0.356
0.428 0.630 0.644
0.856 0.572 0.130
0.572 0.130 0.856
0.356 0.928 0.870
0.144 0.072 0.370
0.072 0.370 0.144
0.370 0.144 0.072
0.619 0.141 0.563
0.119 0.359 0.437
0.381 0.641 0.937
0.359 0.437 0.119
0.119 0.141 0.937
0.437 0.119 0.359
0.141 0.563 0.619
0.563 0.619 0.141
0.641 0.937 0.381
0.859 0.063 0.881
0.063 0.881 0.859
0.881 0.859 0.063
0.381 0.859 0.437
0.881 0.641 0.563
0.619 0.359 0.063
0.641 0.563 0.881
0.063 0.619 0.359
0.563 0.881 0.641
0.859 0.437 0.381
0.437 0.381 0.859
0.359 0.063 0.619
0.141 0.937 0.119
0.937 0.119 0.141
0.937 0.381 0.641
```

Properties
Crystal system: cubic
Calculated total energy (eV per atom): -5.264
M_tot (μB per atom): 0.04
Formation energy (kJ/mol of formula units): -3230
Space group: No. 205

Entry 2:
VASP calculation (PBE+U) on W3O8 after structural relaxation.

Geometry as POSCAR:
```
W3O8
1.0
-0.887 -1.327 -5.631
-3.121 -3.754 1.376
-10.511 2.430 1.084
W O
6 16
Direct
0.655 0.500 0.750
0.345 0.500 0.250
0.831 0.760 0.006
0.831 0.240 0.494
0.169 0.240 0.994
0.169 0.760 0.506
0.656 0.954 0.632
0.656 0.046 0.868
0.344 0.046 0.368
0.344 0.954 0.132
0.110 0.477 0.105
0.110 0.523 0.395
0.890 0.523 0.895
0.890 0.477 0.605
0.397 0.516 0.618
0.397 0.484 0.882
0.603 0.484 0.382
0.603 0.516 0.118
0.106 0.958 0.609
0.894 0.042 0.391
0.106 0.042 0.891
0.894 0.958 0.109
```

Properties
Distance to the lowest polymorph of the same formula (kJ/mol of formula units): 86
Crystal system: monoclinic
Calculated total energy (eV per atom): -7.481
M_tot (μB per atom): 0.18
Formation energy (kJ/mol of formula units): -2184
Space group: No. 13

Entry 3:
VASP calculation (PBE+U) on Li3V5H16O22 after structural relaxation.

Geometry as POSCAR:
```
Li3V5H16O22
1.0
-8.089 2.152 -4.264
-2.080 7.049 7.503
8.362 12.589 -9.509
Li V H O
12 20 64 88
Direct
0.000 0.597 0.766
0.000 0.403 0.234
0.500 0.903 0.266
0.500 0.097 0.734
0.000 0.279 0.696
0.000 0.721 0.304
0.500 0.221 0.196
0.500 0.779 0.804
0.000 0.105 0.565
0.000 0.895 0.435
0.500 0.395 0.065
0.500 0.605 0.935
0.834 0.162 0.853
0.834 0.838 0.147
0.666 0.338 0.353
0.666 0.662 0.647
0.166 0.838 0.147
0.166 0.162 0.853
0.334 0.662 0.647
0.334 0.338 0.353
0.000 0.902 0.858
0.000 0.098 0.142
0.500 0.598 0.358
0.500 0.402 0.642
0.824 0.000 0.000
0.676 0.500 0.500
0.176 0.000 0.000
0.324 0.500 0.500
0.000 0.736 0.005
0.000 0.264 0.995
0.500 0.764 0.505
0.500 0.236 0.495
0.840 0.442 0.847
0.840 0.558 0.153
0.660 0.058 0.347
0.660 0.942 0.653
0.160 0.558 0.153
0.160 0.442 0.847
0.340 0.942 0.653
0.340 0.058 0.347
0.763 0.478 0.770
0.763 0.522 0.230
0.737 0.022 0.270
0.737 0.978 0.730
0.237 0.522 0.230
0.237 0.478 0.770
0.263 0.978 0.730
0.263 0.022 0.270
0.917 0.495 0.637
0.917 0.505 0.363
0.583 0.005 0.137
0.583 0.995 0.863
0.083 0.505 0.363
0.083 0.495 0.637
0.417 0.995 0.863
0.417 0.005 0.137
0.783 0.138 0.654
0.783 0.862 0.346
0.717 0.362 0.154
0.717 0.638 0.846
0.217 0.862 0.346
0.217 0.138 0.654
0.283 0.638 0.846
0.283 0.362 0.154
0.777 0.264 0.607
0.777 0.736 0.393
0.723 0.236 0.107
0.723 0.764 0.893
0.223 0.736 0.393
0.223 0.264 0.607
0.277 0.764 0.893
0.277 0.236 0.107
0.917 0.297 0.465
0.917 0.703 0.535
0.583 0.203 0.965
0.583 0.797 0.035
0.083 0.703 0.535
0.083 0.297 0.465
0.417 0.797 0.035
0.417 0.203 0.965
0.000 0.943 0.694
0.000 0.057 0.306
0.500 0.557 0.194
0.500 0.443 0.806
0.000 0.875 0.615
0.000 0.125 0.385
0.500 0.625 0.115
0.500 0.375 0.885
0.773 0.060 0.474
0.773 0.940 0.526
0.727 0.440 0.974
0.727 0.560 0.026
0.227 0.940 0.526
0.227 0.060 0.474
0.273 0.560 0.026
0.273 0.440 0.974
0.000 0.213 0.804
0.000 0.787 0.196
0.500 0.287 0.304
0.500 0.713 0.696
0.855 0.292 0.926
0.855 0.708 0.074
0.645 0.208 0.426
0.645 0.792 0.574
0.145 0.708 0.074
0.145 0.292 0.926
0.355 0.792 0.574
0.355 0.208 0.426
0.705 0.216 0.802
0.705 0.784 0.198
0.795 0.284 0.302
0.795 0.716 0.698
0.295 0.784 0.198
0.295 0.216 0.802
0.205 0.716 0.698
0.205 0.284 0.302
0.855 0.993 0.815
0.855 0.007 0.185
0.645 0.507 0.315
0.645 0.493 0.685
0.145 0.007 0.185
0.145 0.993 0.815
0.355 0.493 0.685
0.355 0.507 0.315
0.000 0.068 0.937
0.000 0.932 0.063
0.500 0.432 0.437
0.500 0.568 0.563
0.000 0.768 0.812
0.000 0.232 0.188
0.500 0.732 0.312
0.500 0.268 0.688
0.866 0.849 0.944
0.866 0.151 0.056
0.634 0.651 0.444
0.634 0.349 0.556
0.134 0.151 0.056
0.134 0.849 0.944
0.366 0.349 0.556
0.366 0.651 0.444
0.713 0.928 0.066
0.713 0.072 0.934
0.787 0.572 0.566
0.787 0.428 0.434
0.287 0.072 0.934
0.287 0.928 0.066
0.213 0.428 0.434
0.213 0.572 0.566
0.000 0.611 0.952
0.000 0.389 0.048
0.500 0.889 0.452
0.500 0.111 0.548
0.828 0.510 0.810
0.828 0.490 0.190
0.672 0.990 0.310
0.672 0.010 0.690
0.172 0.490 0.190
0.172 0.510 0.810
0.328 0.010 0.690
0.328 0.990 0.310
0.000 0.470 0.668
0.000 0.530 0.332
0.500 0.030 0.168
0.500 0.970 0.832
0.844 0.208 0.634
0.844 0.792 0.366
0.656 0.292 0.134
0.656 0.708 0.866
0.156 0.792 0.366
0.156 0.208 0.634
0.344 0.708 0.866
0.344 0.292 0.134
0.000 0.241 0.472
0.000 0.759 0.528
0.500 0.259 0.972
0.500 0.741 0.028
0.000 0.958 0.640
0.000 0.042 0.360
0.500 0.542 0.140
0.500 0.458 0.860
0.836 0.000 0.500
0.664 0.500 0.000
0.164 0.000 0.500
0.336 0.500 0.000
```

Properties
Crystal system: orthorhombic
Calculated total energy (eV per atom): -5.930
M_tot (μB per atom): 0.00
Formation energy (kJ/mol of formula units): -7921
Space group: No. 58

Entry 4:
VASP calculation (PBE+U) on CaAl2Si2W4O8 after structural relaxation.

Geometry as POSCAR:
```
CaAl2Si2W4O8
1.0
10.430 0.000 0.000
0.000 10.303 0.000
0.000 0.511 10.764
Ca Al Si W O
4 8 8 16 32
Direct
0.408 0.665 0.954
0.908 0.335 0.046
0.574 0.331 0.548
0.074 0.669 0.452
0.338 0.419 0.384
0.838 0.581 0.616
0.125 0.087 0.610
0.625 0.913 0.390
0.144 0.420 0.883
0.644 0.580 0.117
0.348 0.085 0.110
0.848 0.915 0.890
0.106 0.104 0.906
0.606 0.896 0.094
0.879 0.602 0.912
0.379 0.398 0.088
0.108 0.405 0.589
0.608 0.595 0.411
0.366 0.102 0.406
0.866 0.898 0.594
0.611 0.050 0.698
0.111 0.950 0.302
0.360 0.949 0.807
0.860 0.051 0.193
0.181 0.826 0.045
0.681 0.174 0.955
0.047 0.241 0.291
0.547 0.759 0.709
0.421 0.244 0.791
0.921 0.756 0.209
0.624 0.452 0.814
0.124 0.548 0.186
0.802 0.172 0.448
0.302 0.828 0.552
0.374 0.542 0.692
0.874 0.458 0.308
0.009 0.511 0.926
0.509 0.489 0.074
0.206 0.052 0.018
0.706 0.948 0.982
0.969 0.028 0.915
0.469 0.972 0.085
0.176 0.446 0.722
0.676 0.554 0.278
0.498 0.020 0.413
0.998 0.980 0.587
0.086 0.250 0.582
0.586 0.750 0.418
0.174 0.069 0.772
0.674 0.931 0.228
0.293 0.078 0.271
0.793 0.922 0.729
0.391 0.258 0.422
0.891 0.742 0.578
0.283 0.453 0.974
0.783 0.547 0.026
0.478 0.506 0.425
0.978 0.494 0.575
0.401 0.245 0.082
0.901 0.755 0.918
0.311 0.439 0.221
0.811 0.561 0.779
0.263 0.047 0.515
0.763 0.953 0.485
0.205 0.462 0.477
0.705 0.538 0.523
0.085 0.261 0.917
0.585 0.739 0.083
```

Properties
Crystal system: monoclinic
Calculated total energy (eV per atom): -6.567
M_tot (μB per atom): 0.06
Formation energy (kJ/mol of formula units): -2231
Space group: No. 4

Entry 5:
VASP calculation (PBE+U) on MgTeMoO6 after structural relaxation.

Geometry as POSCAR:
```
MgTeMoO6
1.0
5.089 0.000 0.000
0.000 5.364 0.000
0.000 0.000 9.273
Mg Te Mo O
2 2 2 12
Direct
0.000 0.500 0.032
0.500 0.000 0.968
0.000 0.000 0.236
0.500 0.500 0.764
0.000 0.000 0.697
0.500 0.500 0.303
0.236 0.677 0.202
0.764 0.323 0.202
0.264 0.177 0.798
0.736 0.823 0.798
0.220 0.171 0.101
0.780 0.829 0.101
0.280 0.671 0.899
0.720 0.329 0.899
0.341 0.290 0.416
0.659 0.710 0.416
0.159 0.790 0.584
0.841 0.210 0.584
```

Properties
Crystal system: orthorhombic
Calculated total energy (eV per atom): -6.311
M_tot (μB per atom): 0.00
Formation energy (kJ/mol of formula units): -1819
Space group: No. 18